Entry 1:
Below is ZnO2 after structural relaxation, with properties calculated at the PBE level.

a = 3.1348 Å, b = 3.1348 Å, c = 4.0486 Å
α = 90.00°, β = 90.00°, γ = 120.00°
Sites, in units of the cell vectors:
Zn: 0.0000 0.0000 0.0000
O: 0.6667 0.3333 0.7680
O: 0.3333 0.6667 0.2320

Calculated values
Its space group is P-3m1 (164). The total magnetization is 2.0 μB/f.u. The formation energy is -0.735 eV per atom. The total DFT energy (no corrections) is -3.995 eV per atom.

=====

Entry 2:
Below is ZnO after structural relaxation, with properties calculated at the PBE level.

a = 9.9377 Å, b = 10.1362 Å, c = 10.5709 Å
α = 90.26°, β = 93.01°, γ = 84.34°
Sites, in units of the cell vectors:
Zn: 0.0620 0.7351 0.7520
Zn: 0.7426 0.4625 0.2163
Zn: 0.5880 0.4863 0.4539
Zn: 0.1137 0.7973 0.5032
Zn: 0.2331 0.7822 0.1947
Zn: 0.2641 0.9814 0.6659
Zn: 0.2166 0.4309 0.9649
Zn: 0.2241 0.5408 0.2826
Zn: 0.0852 0.2548 0.5595
Zn: 0.6628 0.2661 0.7140
Zn: 0.6445 0.0451 0.3414
Zn: 0.2820 0.5472 0.5390
Zn: 0.4314 0.0038 0.1857
Zn: 0.7140 0.7842 0.8428
Zn: 0.9584 0.5700 0.1114
Zn: 0.4491 0.7739 0.3980
Zn: 0.8028 0.0075 0.0183
Zn: 0.9413 0.3850 0.7370
Zn: 0.6726 0.4745 0.9518
Zn: 0.8724 0.7910 0.2631
Zn: 0.9770 0.0431 0.7665
Zn: 0.9685 0.0961 0.2555
Zn: 0.9479 0.2761 0.9920
Zn: 0.3339 0.8365 0.9231
Zn: 0.3525 0.2799 0.7456
Zn: 0.6067 0.7803 0.1112
Zn: 0.1931 0.0842 0.0554
Zn: 0.6541 0.5768 0.6919
Zn: 0.4039 0.5976 0.7748
Zn: 0.7898 0.1917 0.4977
Zn: 0.1175 0.3152 0.2904
Zn: 0.0275 0.8391 0.0062
Zn: 0.4262 0.2697 0.4565
Zn: 0.4499 0.2835 0.1441
Zn: 0.4504 0.5634 0.1406
Zn: 0.5333 0.9972 0.6249
Zn: 0.9369 0.5329 0.4446
Zn: 0.7954 0.8375 0.5395
Zn: 0.2681 0.0450 0.3939
Zn: 0.4988 0.0441 0.9008
O: 0.8446 0.4332 0.0561
O: 0.5330 0.1490 0.7539
O: 0.4134 0.9137 0.7826
O: 0.9169 0.1972 0.6470
O: 0.5822 0.4107 0.1046
O: 0.2680 0.1751 0.6227
O: 0.0673 0.2075 0.1392
O: 0.3927 0.1258 0.0375
O: 0.6482 0.9141 0.9758
O: 0.9189 0.7918 0.8550
O: 0.0814 0.9190 0.6473
O: 0.2741 0.3992 0.4222
O: 0.3896 0.9301 0.5043
O: 0.7076 0.7489 0.6617
O: 0.2996 0.4368 0.1350
O: 0.0326 0.4958 0.2828
O: 0.6031 0.2965 0.5307
O: 0.2362 0.7149 0.3831
O: 0.5707 0.8839 0.2729
O: 0.4773 0.5655 0.5962
O: 0.2443 0.9685 0.2206
O: 0.4600 0.1651 0.3019
O: 0.5796 0.6382 0.8718
O: 0.7938 0.1474 0.3195
O: 0.4028 0.7492 0.0784
O: 0.9277 0.9315 0.1565
O: 0.0299 0.4457 0.5905
O: 0.0700 0.3571 0.8813
O: 0.7453 0.4169 0.7772
O: 0.7750 0.6725 0.1600
O: 0.4899 0.6027 0.3216
O: 0.7683 0.4640 0.3945
O: 0.1094 0.6782 0.0927
O: 0.8765 0.1214 0.9073
O: 0.2216 0.6635 0.6803
O: 0.0995 0.1560 0.3962
O: 0.1577 0.9480 0.9288
O: 0.6954 0.0082 0.5292
O: 0.9309 0.7475 0.4384
O: 0.3649 0.4276 0.8481

Calculated values
Its space group is P1 (1). The total magnetization is 0.0 μB/f.u. The formation energy is -1.544 eV per atom. The total DFT energy (no corrections) is -4.304 eV per atom.

=====

Entry 3:
Below is ZnO after structural relaxation, with properties calculated at the PBE level.

a = 3.2742 Å, b = 3.2742 Å, c = 3.2742 Å
α = 60.00°, β = 60.00°, γ = 60.00°
Sites, in units of the cell vectors:
Zn: 0.0000 0.0000 0.0000
O: 0.2500 0.2500 0.2500

Calculated values
Its space group is F-43m (216). The formation energy is -1.784 eV per atom. The total DFT energy (no corrections) is -4.544 eV per atom. The largest piezoelectric modulus is 0.628 C/m2.

=====

- The lowest formation energy belongs to which entry?
  number 3